(1)
VASP calculation (PBE) on a relaxed structure of SrLaB12.

abc: 4.173 4.173 8.351
angles: 90.00 90.00 90.00
Space group P4/mmm (No. 123)
Asymmetric unit:
Sr: 0.000 0.000 0.000
La: 0.000 0.000 0.500
B: 0.201 0.500 0.250
B: 0.500 0.500 0.101
B: 0.500 0.500 0.400

Output
* E_form: -508 meV/atom
* raw total energy: -6.71 eV/atom


(2)
VASP calculation (PBE) on a relaxed structure of ZnCoCu3Se4.

abc: 5.668 5.668 5.668
angles: 90.00 90.00 90.00
Space group P-43m (No. 215)
Asymmetric unit:
Zn: 0.000 0.000 0.000
Co: 0.500 0.500 0.500
Cu: 0.000 0.500 0.500
Se: 0.253 0.253 0.747

Output
* E_form: -382 meV/atom
* raw total energy: -4.02 eV/atom
* total magnetic moment: 3.281 Bohr magnetons per cell


(3)
VASP calculation (PBE) on a relaxed structure of Tb2SeO2.

abc: 3.8735 3.8735 6.8713
angles: 90.00 90.00 120.00
Space group P-3m1 (No. 164)
Asymmetric unit:
Tb: 0.3333 0.6667 0.2907
Se: 0.0000 0.0000 0.0000
O: 0.3333 0.6667 0.6255

Output
* E_form: -3390 meV/atom
* raw total energy: -7.65 eV/atom


(4)
VASP calculation (PBE) on a relaxed structure of Ge.

abc: 2.794 5.201 2.698
angles: 90.00 90.00 90.00
Space group Cmmm (No. 65)
Asymmetric unit:
Ge: 0.000 0.000 0.000

Output
* E_form: 252 meV/atom
* raw total energy: -4.37 eV/atom
* distance to the lowest polymorph of the same formula: 252 meV per atom
* total magnetic moment: 0.002 Bohr magnetons per cell


(5)
VASP calculation (PBE) on a relaxed structure of Sc3IrC4.

abc: 5.626 12.288 5.625
angles: 90.00 104.87 90.00
Space group C2/m (No. 12)
Asymmetric unit:
Sc: 0.000 0.190 0.000
Sc: 0.000 0.309 0.500
Sc: 0.239 0.000 0.763
Ir: 0.229 0.500 0.728
C: 0.081 0.128 0.418
C: 0.081 0.371 0.918

Output
* E_form: -501 meV/atom
* raw total energy: -8.60 eV/atom


(6)
VASP calculation (PBE) on a relaxed structure of Nb3TeI7.

abc: 7.7335 7.7335 14.8834
angles: 90.00 90.00 120.00
Space group P6_3mc (No. 186)
Asymmetric unit:
Nb: 0.1324 0.2648 0.0000
Te: 0.0000 0.0000 0.3599
I: 0.0024 0.5012 0.3966
I: 0.1671 0.3343 0.6250
I: 0.3333 0.6667 0.0982

Output
* E_form: -784 meV/atom
* piezoelectric modulus e_max: 0.23 C/m2
* raw total energy: -4.55 eV/atom
* distance to the lowest polymorph of the same formula: 0 meV per atom


(7)
VASP calculation (PBE) on a relaxed structure of BaB2S3O13.

abc: 17.554 12.658 4.498
angles: 90.00 90.00 90.00
Space group Pnma (No. 62)
Asymmetric unit:
Ba: 0.219 0.250 0.028
B: 0.079 0.651 0.563
S: 0.046 0.250 0.633
S: 0.147 0.564 0.057
O: 0.003 0.153 0.514
O: 0.048 0.250 0.953
O: 0.079 0.605 0.876
O: 0.116 0.750 0.536
O: 0.118 0.567 0.379
O: 0.123 0.250 0.505
O: 0.162 0.046 0.989
O: 0.212 0.635 0.026

Output
* E_form: -2316 meV/atom
* raw total energy: -6.69 eV/atom
* total magnetic moment: 0.018 Bohr magnetons per cell


(8)
VASP calculation (PBE) on a relaxed structure of Bi2Se2S.

abc: 11.900 4.134 11.470
angles: 90.00 90.00 90.00
Space group Pnma (No. 62)
Asymmetric unit:
Bi: 0.016 0.250 0.166
Bi: 0.158 0.750 0.464
Se: 0.053 0.250 0.635
Se: 0.220 0.250 0.303
S: 0.117 0.750 0.054

Output
* E_form: -449 meV/atom
* raw total energy: -4.13 eV/atom
* total magnetic moment: 0.000 Bohr magnetons per cell


(9)
VASP calculation (PBE) on a relaxed structure of Mg14FeW.

abc: 9.909 5.993 10.934
angles: 90.00 90.00 90.00
Space group Amm2 (No. 38)
Asymmetric unit:
Mg: 0.000 0.000 0.000
Mg: 0.000 0.000 0.500
Mg: 0.000 0.249 0.253
Mg: 0.255 0.000 0.659
Mg: 0.264 0.000 0.156
Mg: 0.271 0.249 0.920
Mg: 0.500 0.247 0.753
Fe: 0.500 0.000 0.005
W: 0.500 0.000 0.511

Output
* E_form: 198 meV/atom
* raw total energy: -2.54 eV/atom
* distance to the lowest polymorph of the same formula: 0 meV per atom
* total magnetic moment: 3.999 Bohr magnetons per cell


(10)
VASP calculation (PBE) on a relaxed structure of DyAgSn.

abc: 4.7454 4.7454 7.4167
angles: 90.00 90.00 120.00
Space group P6_3mc (No. 186)
Asymmetric unit:
Dy: 0.0000 0.0000 0.0000
Ag: 0.3333 0.6667 0.1878
Sn: 0.3333 0.6667 0.7793

Output
* E_form: -593 meV/atom
* raw total energy: -4.41 eV/atom


(11)
VASP calculation (PBE) on a relaxed structure of Y4MgRh.

abc: 13.801 13.801 13.801
angles: 90.00 90.00 90.00
Space group F-43m (No. 216)
Asymmetric unit:
Y: 0.000 0.000 0.186
Y: 0.063 0.250 0.750
Y: 0.098 0.098 0.402
Mg: 0.170 0.170 0.170
Rh: 0.108 0.108 0.608

Output
* E_form: -393 meV/atom
* raw total energy: -6.20 eV/atom


(12)
VASP calculation (PBE) on a relaxed structure of Ho3Ga9Pt2.

abc: 4.276 9.603 12.488
angles: 90.00 90.00 90.00
Space group Immm (No. 71)
Asymmetric unit:
Ho: 0.000 0.000 0.000
Ho: 0.000 0.000 0.304
Ga: 0.000 0.282 0.139
Ga: 0.000 0.369 0.344
Ga: 0.000 0.500 0.000
Pt: 0.000 0.191 0.500

Output
* E_form: -662 meV/atom
* raw total energy: -4.46 eV/atom
* total magnetic moment: 0.000 Bohr magnetons per cell